1.
First-principles (PBE) data for a relaxed Ba2SrCa3Mg2Si4O16 crystal, as listed in Materials Project.

## Properties
crystal system: triclinic
E: -199.2 eV for the cell shown

Cell: 5.5084 6.9451 9.5384 Å, 90.00 90.02 90.00°
Closest atoms and distances in Å follow each position.
Sites, in units of the cell vectors:
Ba: 0.0000 0.0000 0.0000  6 O 2.81-2.83
Ba: 0.4999 0.9999 0.4988  6 O 2.79-2.83
Sr: 0.4978 0.6582 0.8322  4 O 2.35-2.58
Ca: 0.0002 0.3337 0.6648  4 O 2.27-2.46
Ca: 0.0033 0.6651 0.3332  4 O 2.27-2.49
Ca: 0.4996 0.3344 0.1673  4 O 2.28-2.45
Mg: 0.0002 0.4994 0.0015  6 O 2.09-2.12
Mg: 0.4997 0.4996 0.4974  6 O 2.08-2.12
Si: 0.9997 0.2261 0.3326  4 O 1.62-1.66
Si: 0.0014 0.7731 0.6632  4 O 1.62-1.66
Si: 0.4983 0.7730 0.1689  4 O 1.62-1.66
Si: 0.5002 0.2290 0.8328  4 O 1.61-1.66
O: 0.0573 0.3210 0.1763  1 Si 1.66
O: 0.2061 0.3209 0.4392  1 Si 1.66
O: 0.2365 0.3224 0.8830  1 Si 1.66
O: 0.2564 0.6786 0.6026  1 Si 1.65
O: 0.2822 0.6777 0.0697  1 Si 1.66
O: 0.4479 0.6781 0.3254  1 Si 1.66
O: 0.5003 0.0068 0.1669  1 Si 1.62
O: 0.5008 0.9969 0.8328  1 Si 1.61
O: 0.5567 0.3235 0.6760  1 Si 1.66
O: 0.7065 0.3238 0.9399  1 Si 1.66
O: 0.7367 0.3221 0.3820  1 Si 1.66
O: 0.7583 0.6767 0.1147  1 Si 1.66
O: 0.7873 0.6777 0.5622  1 Si 1.66
O: 0.9661 0.6774 0.8216  1 Si 1.66
O: 0.9994 0.0070 0.6652  1 Si 1.62
O: 0.9993 0.9923 0.3327  1 Si 1.62

2.
First-principles (PBE) data for a relaxed Ba2CaMoN4 crystal, as listed in Materials Project.

## Properties
crystal system: orthorhombic
E: -459.2 eV for the cell shown

Cell: 9.9764 12.0488 10.4852 Å, 90.00 90.00 90.00°
Closest atoms and distances in Å follow each position.
Sites, in units of the cell vectors:
Ba: 0.1231 0.1452 0.0332  6 N 2.73-3.00
Ba: 0.1231 0.3548 0.5332  6 N 2.73-3.00
Ba: 0.1932 0.6167 0.7342  4 N 2.72-3.01
Ba: 0.1932 0.8833 0.2342  4 N 2.72-3.01
Ba: 0.3068 0.1167 0.7342  4 N 2.72-3.01
Ba: 0.3068 0.3833 0.2342  4 N 2.72-3.01
Ba: 0.3769 0.6452 0.0332  6 N 2.73-3.00
Ba: 0.3769 0.8548 0.5332  6 N 2.73-3.00
Ba: 0.6231 0.1452 0.4668  6 N 2.73-3.00
Ba: 0.6231 0.3548 0.9668  6 N 2.73-3.00
Ba: 0.6932 0.6167 0.7658  4 N 2.72-3.01
Ba: 0.6932 0.8833 0.2658  4 N 2.72-3.01
Ba: 0.8068 0.1167 0.7658  4 N 2.72-3.01
Ba: 0.8068 0.3833 0.2658  4 N 2.72-3.01
Ba: 0.8769 0.6452 0.4668  6 N 2.73-3.00
Ba: 0.8769 0.8548 0.9668  6 N 2.73-3.00
Ca: 0.0318 0.6024 0.1184  5 N 2.44-2.57
Ca: 0.0318 0.8976 0.6184  5 N 2.44-2.57
Ca: 0.4682 0.1024 0.1184  5 N 2.44-2.57
Ca: 0.4682 0.3976 0.6184  5 N 2.44-2.57
Ca: 0.5318 0.6024 0.3816  5 N 2.44-2.57
Ca: 0.5318 0.8976 0.8816  5 N 2.44-2.57
Ca: 0.9682 0.1024 0.3816  5 N 2.44-2.57
Ca: 0.9682 0.3976 0.8816  5 N 2.44-2.57
Mo: 0.2129 0.6197 0.4054  4 N 1.87-1.90
Mo: 0.2129 0.8803 0.9054  4 N 1.87-1.90
Mo: 0.2871 0.1197 0.4054  4 N 1.87-1.90
Mo: 0.2871 0.3803 0.9054  4 N 1.87-1.90
Mo: 0.7129 0.6197 0.0946  4 N 1.87-1.90
Mo: 0.7129 0.8803 0.5946  4 N 1.87-1.90
Mo: 0.7871 0.1197 0.0946  4 N 1.87-1.90
Mo: 0.7871 0.3803 0.5946  4 N 1.87-1.90
N: 0.0810 0.5272 0.3300  1 Mo 1.90
N: 0.0810 0.9728 0.8300  1 Mo 1.90
N: 0.1279 0.7261 0.5110  1 Mo 1.89
N: 0.1279 0.7739 0.0110  1 Mo 1.89
N: 0.1727 0.0315 0.5072  1 Mo 1.89
N: 0.1727 0.4685 0.0072  1 Mo 1.89
N: 0.1761 0.1909 0.2868  1 Mo 1.87
N: 0.1761 0.3091 0.7868  1 Mo 1.87
N: 0.3239 0.6909 0.2868  1 Mo 1.87
N: 0.3239 0.8091 0.7868  1 Mo 1.87
N: 0.3273 0.5315 0.5072  1 Mo 1.89
N: 0.3273 0.9685 0.0072  1 Mo 1.89
N: 0.3721 0.2261 0.5110  1 Mo 1.89
N: 0.3721 0.2739 0.0110  1 Mo 1.89
N: 0.4190 0.0272 0.3300  1 Mo 1.90
N: 0.4190 0.4728 0.8300  1 Mo 1.90
N: 0.5810 0.5272 0.1700  1 Mo 1.90
N: 0.5810 0.9728 0.6700  1 Mo 1.90
N: 0.6279 0.7261 0.9890  1 Mo 1.89
N: 0.6279 0.7739 0.4890  1 Mo 1.89
N: 0.6727 0.0315 0.9928  1 Mo 1.89
N: 0.6727 0.4685 0.4928  1 Mo 1.89
N: 0.6761 0.1909 0.2132  1 Mo 1.87
N: 0.6761 0.3091 0.7132  1 Mo 1.87
N: 0.8239 0.6909 0.2132  1 Mo 1.87
N: 0.8239 0.8091 0.7132  1 Mo 1.87
N: 0.8273 0.5315 0.9928  1 Mo 1.89
N: 0.8273 0.9685 0.4928  1 Mo 1.89
N: 0.8721 0.2261 0.9890  1 Mo 1.89
N: 0.8721 0.2739 0.4890  1 Mo 1.89
N: 0.9190 0.0272 0.1700  1 Mo 1.90
N: 0.9190 0.4728 0.6700  1 Mo 1.90

3.
First-principles (PBE) data for a relaxed Ba3Ca3Mo2N8 crystal, as listed in Materials Project.

## Properties
crystal system: orthorhombic
E: -460.2 eV for the cell shown

Cell: 9.7059 10.3602 11.9026 Å, 90.00 90.00 90.00°
Closest atoms and distances in Å follow each position.
Sites, in units of the cell vectors:
Ba: 0.0643 0.0124 0.3667  4 N 2.70-2.99
Ba: 0.0689 0.5172 0.6297  4 N 2.79-3.01
Ba: 0.1215 0.7215 0.8976  6 N 2.65-2.91
Ba: 0.3785 0.2785 0.3976  6 N 2.65-2.91
Ba: 0.4311 0.4828 0.1297  4 N 2.79-3.01
Ba: 0.4357 0.9876 0.8667  4 N 2.70-2.99
Ba: 0.5643 0.4876 0.6333  4 N 2.70-2.99
Ba: 0.5689 0.9828 0.3703  4 N 2.79-3.01
Ba: 0.6215 0.7785 0.1024  6 N 2.65-2.91
Ba: 0.8785 0.2215 0.6024  6 N 2.65-2.91
Ba: 0.9311 0.0172 0.8703  4 N 2.79-3.01
Ba: 0.9357 0.5124 0.1333  4 N 2.70-2.99
Ca: 0.1363 0.2051 0.1148  3 N 2.46-2.52
Ca: 0.2176 0.1283 0.6501  5 N 2.42-2.57
Ca: 0.2187 0.6310 0.3541  5 N 2.39-2.55
Ca: 0.2813 0.3690 0.8541  5 N 2.39-2.55
Ca: 0.2824 0.8717 0.1501  5 N 2.42-2.57
Ca: 0.3637 0.7949 0.6148  3 N 2.46-2.52
Ca: 0.6363 0.2949 0.8852  3 N 2.46-2.52
Ca: 0.7176 0.3717 0.3499  5 N 2.42-2.57
Ca: 0.7187 0.8690 0.6459  5 N 2.39-2.55
Ca: 0.7813 0.1310 0.1459  5 N 2.39-2.55
Ca: 0.7824 0.6283 0.8499  5 N 2.42-2.57
Ca: 0.8637 0.7051 0.3852  3 N 2.46-2.52
Mo: 0.0431 0.3487 0.3613  4 N 1.88-1.89
Mo: 0.0457 0.8448 0.6296  4 N 1.86-1.89
Mo: 0.4543 0.1552 0.1296  4 N 1.86-1.89
Mo: 0.4569 0.6513 0.8613  4 N 1.88-1.89
Mo: 0.5431 0.1513 0.6387  4 N 1.88-1.89
Mo: 0.5457 0.6552 0.3704  4 N 1.86-1.89
Mo: 0.9543 0.3448 0.8704  4 N 1.86-1.89
Mo: 0.9569 0.8487 0.1387  4 N 1.88-1.89
N: 0.0638 0.9820 0.0760  1 Mo 1.88
N: 0.0650 0.4706 0.9357  1 Mo 1.86
N: 0.0741 0.2397 0.7847  1 Mo 1.89
N: 0.0753 0.7422 0.2231  1 Mo 1.88
N: 0.1249 0.2495 0.4771  1 Mo 1.89
N: 0.1386 0.7460 0.5206  1 Mo 1.88
N: 0.1782 0.4133 0.2625  1 Mo 1.88
N: 0.1824 0.9139 0.7261  1 Mo 1.89
N: 0.3176 0.0861 0.2261  1 Mo 1.89
N: 0.3218 0.5867 0.7625  1 Mo 1.88
N: 0.3614 0.2540 0.0206  1 Mo 1.88
N: 0.3751 0.7505 0.9771  1 Mo 1.89
N: 0.4247 0.2578 0.7231  1 Mo 1.88
N: 0.4259 0.7603 0.2847  1 Mo 1.89
N: 0.4350 0.5294 0.4357  1 Mo 1.86
N: 0.4362 0.0180 0.5760  1 Mo 1.88
N: 0.5638 0.5180 0.9240  1 Mo 1.88
N: 0.5650 0.0294 0.0643  1 Mo 1.86
N: 0.5741 0.2603 0.2153  1 Mo 1.89
N: 0.5753 0.7578 0.7769  1 Mo 1.88
N: 0.6249 0.2505 0.5229  1 Mo 1.89
N: 0.6386 0.7540 0.4794  1 Mo 1.88
N: 0.6782 0.0867 0.7375  1 Mo 1.88
N: 0.6824 0.5861 0.2739  1 Mo 1.89
N: 0.8176 0.4139 0.7739  1 Mo 1.89
N: 0.8218 0.9133 0.2375  1 Mo 1.88
N: 0.8614 0.2460 0.9794  1 Mo 1.88
N: 0.8751 0.7495 0.0229  1 Mo 1.89
N: 0.9247 0.2422 0.2769  1 Mo 1.88
N: 0.9259 0.7397 0.7153  1 Mo 1.89
N: 0.9350 0.9706 0.5643  1 Mo 1.86
N: 0.9362 0.4820 0.4240  1 Mo 1.88

4.
First-principles (PBE) data for a relaxed Ba14Na21CaN6 crystal, as listed in Materials Project.

## Properties
crystal system: monoclinic
E: -115.7 eV for the cell shown

Cell: 12.4212 12.4212 16.2641 Å, 123.27 123.27 60.91°
Closest atoms and distances in Å follow each position.
Sites, in units of the cell vectors:
Ba: 0.1702 0.5965 0.9064  3 N 2.75-2.83
Ba: 0.1918 0.1918 0.7683  1 N 2.53
Ba: 0.2043 0.7789 0.7728  1 N 2.52
Ba: 0.2211 0.7957 0.2272  1 N 2.52
Ba: 0.3722 0.3722 0.7333  3 N 2.79-2.81
Ba: 0.3983 0.3983 0.0889  3 N 2.75-2.83
Ba: 0.4035 0.8298 0.0936  3 N 2.75-2.83
Ba: 0.5965 0.1702 0.9064  3 N 2.75-2.83
Ba: 0.6017 0.6017 0.9111  3 N 2.75-2.83
Ba: 0.6278 0.6278 0.2667  3 N 2.79-2.81
Ba: 0.7789 0.2043 0.7728  1 N 2.52
Ba: 0.7957 0.2211 0.2272  1 N 2.52
Ba: 0.8082 0.8082 0.2317  1 N 2.53
Ba: 0.8298 0.4035 0.0936  3 N 2.75-2.83
Na: 0.0000 0.0000 0.0000  4 Na 3.55-3.81
Na: 0.0000 0.5000 0.0000  4 Na 3.64-3.81, 4 Ba 4.03
Na: 0.0677 0.5288 0.4439  6 Na 3.55-3.97
Na: 0.1311 0.1311 0.4685  5 Na 3.62-3.92, 2 Ba 4.04
Na: 0.1759 0.1759 0.0217  5 Na 3.55-3.90
Na: 0.1804 0.8196 0.5000  6 Na 3.61-3.97
Na: 0.1944 0.1944 0.2894  6 Na 3.55-3.94
Na: 0.2032 0.5007 0.2804  8 Na 3.61-3.95
Na: 0.4462 0.4462 0.5503  7 Na 3.57-3.95
Na: 0.4712 0.9323 0.5561  6 Na 3.55-3.97
Na: 0.4993 0.7968 0.7196  8 Na 3.61-3.95
Na: 0.5000 0.0000 0.0000  4 Na 3.64-3.81, 4 Ba 4.03
Na: 0.5007 0.2032 0.2804  8 Na 3.61-3.95
Na: 0.5288 0.0677 0.4439  6 Na 3.55-3.97
Na: 0.5538 0.5538 0.4497  7 Na 3.57-3.95
Na: 0.7968 0.4993 0.7196  8 Na 3.61-3.95
Na: 0.8056 0.8056 0.7106  6 Na 3.55-3.94
Na: 0.8196 0.1804 0.5000  6 Na 3.61-3.97
Na: 0.8241 0.8241 0.9783  5 Na 3.55-3.90
Na: 0.8689 0.8689 0.5315  5 Na 3.62-3.92, 2 Ba 4.04
Na: 0.9323 0.4712 0.5561  6 Na 3.55-3.97
Ca: 0.5000 0.5000 0.0000  6 N 2.57-2.58
N: 0.3441 0.3441 0.8788  5 Ba 2.53-2.83, 1 Ca 2.58
N: 0.3484 0.6369 0.8822  4 Ba 2.52-2.81, 1 Ca 2.57
N: 0.3631 0.6516 0.1178  4 Ba 2.52-2.81, 1 Ca 2.57
N: 0.6369 0.3484 0.8822  4 Ba 2.52-2.81, 1 Ca 2.57
N: 0.6516 0.3631 0.1178  4 Ba 2.52-2.81, 1 Ca 2.57
N: 0.6559 0.6559 0.1212  5 Ba 2.53-2.83, 1 Ca 2.58

5.
First-principles (PBE) data for a relaxed Ba14Na8CaN6 crystal, as listed in Materials Project.

## Properties
crystal system: hexagonal
E: -196.7 eV for the cell shown

Cell: 11.4701 11.4701 21.6764 Å, 90.00 90.00 120.00°
Closest atoms and distances in Å follow each position.
Sites, in units of the cell vectors:
Ba: 0.0000 0.0000 0.1515  3 N 2.76
Ba: 0.0000 0.0000 0.3485  3 N 2.76
Ba: 0.0000 0.0000 0.6515  3 N 2.76
Ba: 0.0000 0.0000 0.8485  3 N 2.76
Ba: 0.0358 0.7454 0.0498  3 N 2.77-2.82
Ba: 0.0358 0.7454 0.4502  3 N 2.77-2.82
Ba: 0.0477 0.6707 0.6384  1 N 2.50
Ba: 0.0477 0.6707 0.8616  1 N 2.50
Ba: 0.2546 0.2904 0.0498  3 N 2.77-2.82
Ba: 0.2546 0.2904 0.4502  3 N 2.77-2.82
Ba: 0.2904 0.0358 0.5498  3 N 2.77-2.82
Ba: 0.2904 0.0358 0.9502  3 N 2.77-2.82
Ba: 0.3293 0.3770 0.6384  1 N 2.50
Ba: 0.3293 0.3770 0.8616  1 N 2.50
Ba: 0.3770 0.0477 0.1384  1 N 2.50
Ba: 0.3770 0.0477 0.3616  1 N 2.50
Ba: 0.6230 0.9523 0.6384  1 N 2.50
Ba: 0.6230 0.9523 0.8616  1 N 2.50
Ba: 0.6707 0.6230 0.1384  1 N 2.50
Ba: 0.6707 0.6230 0.3616  1 N 2.50
Ba: 0.7096 0.9642 0.0498  3 N 2.77-2.82
Ba: 0.7096 0.9642 0.4502  3 N 2.77-2.82
Ba: 0.7454 0.7096 0.5498  3 N 2.77-2.82
Ba: 0.7454 0.7096 0.9502  3 N 2.77-2.82
Ba: 0.9523 0.3293 0.1384  1 N 2.50
Ba: 0.9523 0.3293 0.3616  1 N 2.50
Ba: 0.9642 0.2546 0.5498  3 N 2.77-2.82
Ba: 0.9642 0.2546 0.9502  3 N 2.77-2.82
Na: 0.0390 0.6858 0.2500  3 Na 3.95-4.16, 6 Ba 4.40-4.42
Na: 0.3142 0.3532 0.2500  3 Na 3.95-4.16, 6 Ba 4.40-4.42
Na: 0.3333 0.6667 0.1646  5 Na 3.70-3.95
Na: 0.3333 0.6667 0.3354  5 Na 3.70-3.95
Na: 0.3333 0.6667 0.5091  1 Na 3.77, 3 Ba 4.14
Na: 0.3333 0.6667 0.7500  6 Ba 4.09, 3 Na 4.16
Na: 0.3333 0.6667 0.9909  1 Na 3.77, 3 Ba 4.14
Na: 0.3532 0.0390 0.7500  3 Na 3.95-4.16, 6 Ba 4.40-4.42
Na: 0.6468 0.9610 0.2500  3 Na 3.95-4.16, 6 Ba 4.40-4.42
Na: 0.6667 0.3333 0.0091  1 Na 3.77, 3 Ba 4.14
Na: 0.6667 0.3333 0.2500  6 Ba 4.09, 3 Na 4.16
Na: 0.6667 0.3333 0.4909  1 Na 3.77, 3 Ba 4.14
Na: 0.6667 0.3333 0.6646  5 Na 3.70-3.95
Na: 0.6667 0.3333 0.8354  5 Na 3.70-3.95
Na: 0.6858 0.6468 0.7500  3 Na 3.95-4.16, 6 Ba 4.40-4.42
Na: 0.9610 0.3142 0.7500  3 Na 3.95-4.16, 6 Ba 4.40-4.42
Ca: 0.0000 0.0000 0.0000  6 N 2.56
Ca: 0.0000 0.0000 0.5000  6 N 2.56
N: 0.0254 0.8317 0.5683  4 Ba 2.50-2.79, 1 Ca 2.56
N: 0.0254 0.8317 0.9317  4 Ba 2.50-2.79, 1 Ca 2.56
N: 0.1683 0.1937 0.5683  4 Ba 2.50-2.79, 1 Ca 2.56
N: 0.1683 0.1937 0.9317  4 Ba 2.50-2.79, 1 Ca 2.56
N: 0.1937 0.0254 0.0683  4 Ba 2.50-2.79, 1 Ca 2.56
N: 0.1937 0.0254 0.4317  4 Ba 2.50-2.79, 1 Ca 2.56
N: 0.8063 0.9746 0.5683  4 Ba 2.50-2.79, 1 Ca 2.56
N: 0.8063 0.9746 0.9317  4 Ba 2.50-2.79, 1 Ca 2.56
N: 0.8317 0.8063 0.0683  4 Ba 2.50-2.79, 1 Ca 2.56
N: 0.8317 0.8063 0.4317  4 Ba 2.50-2.79, 1 Ca 2.56
N: 0.9746 0.1683 0.0683  4 Ba 2.50-2.79, 1 Ca 2.56
N: 0.9746 0.1683 0.4317  4 Ba 2.50-2.79, 1 Ca 2.56

6.
First-principles (PBE) data for a relaxed Ba14Na14CaN6 crystal, as listed in Materials Project.

## Properties
crystal system: cubic
E: -106.6 eV for the cell shown

Cell: 12.6352 12.6352 12.6352 Å, 60.00 60.00 60.00°
Closest atoms and distances in Å follow each position.
Sites, in units of the cell vectors:
Ba: 0.1790 0.6070 0.6070  3 N 2.79
Ba: 0.2138 0.2138 0.7862  1 N 2.53
Ba: 0.2138 0.7862 0.2138  1 N 2.53
Ba: 0.2138 0.7862 0.7862  1 N 2.53
Ba: 0.3930 0.3930 0.3930  3 N 2.79
Ba: 0.3930 0.3930 0.8210  3 N 2.79
Ba: 0.3930 0.8210 0.3930  3 N 2.79
Ba: 0.6070 0.1790 0.6070  3 N 2.79
Ba: 0.6070 0.6070 0.1790  3 N 2.79
Ba: 0.6070 0.6070 0.6070  3 N 2.79
Ba: 0.7862 0.2138 0.2138  1 N 2.53
Ba: 0.7862 0.2138 0.7862  1 N 2.53
Ba: 0.7862 0.7862 0.2138  1 N 2.53
Ba: 0.8210 0.3930 0.3930  3 N 2.79
Na: 0.0000 0.0000 0.5000  4 Na 3.65
Na: 0.0000 0.5000 0.0000  4 Na 3.65
Na: 0.0000 0.5000 0.5000  4 Na 3.65
Na: 0.1711 0.1711 0.1711  6 Na 3.65-3.99
Na: 0.1711 0.1711 0.4866  6 Na 3.65-3.99
Na: 0.1711 0.4866 0.1711  6 Na 3.65-3.99
Na: 0.4866 0.1711 0.1711  6 Na 3.65-3.99
Na: 0.5000 0.0000 0.0000  4 Na 3.65
Na: 0.5000 0.0000 0.5000  4 Na 3.65
Na: 0.5000 0.5000 0.0000  4 Na 3.65
Na: 0.5134 0.8289 0.8289  6 Na 3.65-3.99
Na: 0.8289 0.5134 0.8289  6 Na 3.65-3.99
Na: 0.8289 0.8289 0.5134  6 Na 3.65-3.99
Na: 0.8289 0.8289 0.8289  6 Na 3.65-3.99
Ca: 0.5000 0.5000 0.5000  6 N 2.59
N: 0.3553 0.3553 0.6447  5 Ba 2.53-2.79, 1 Ca 2.59
N: 0.3553 0.6447 0.3553  5 Ba 2.53-2.79, 1 Ca 2.59
N: 0.3553 0.6447 0.6447  5 Ba 2.53-2.79, 1 Ca 2.59
N: 0.6447 0.3553 0.3553  5 Ba 2.53-2.79, 1 Ca 2.59
N: 0.6447 0.3553 0.6447  5 Ba 2.53-2.79, 1 Ca 2.59
N: 0.6447 0.6447 0.3553  5 Ba 2.53-2.79, 1 Ca 2.59